{"formula": "IrCl2", "functional": "PBE", "state": "relaxed", "final_energy_ev_per_atom": -4.147, "sg": "P4_2/mnm (136)", "e_form_ev_per_atom": -0.38, "lattice_angstrom": [[-2.900, -4.122, 2.571], [4.156, -3.655, -1.173], [1.673, 0.857, 3.259]], "species": ["Ir", "Ir", "Cl", "Cl", "Cl", "Cl"], "frac_coords": [[0.000, 0.000, 0.000], [0.500, 0.500, 0.500], [0.304, 0.304, 0.000], [0.696, 0.696, 0.000], [0.196, 0.804, 0.500], [0.804, 0.196, 0.500]]}

---

{"formula": "K3SnIrCl8", "functional": "PBE", "state": "relaxed", "piezo_max_c_m2": 0.4, "final_energy_ev_per_atom": -3.713, "sg": "Pmn2_1 (31)", "e_form_ev_per_atom": -1.71, "lattice_angstrom": [[-5.996, 4.872, 2.257], [-5.433, -7.709, 2.209], [3.517, 0.122, 9.077]], "species": ["K", "K", "K", "K", "K", "K", "Sn", "Sn", "Ir", "Ir", "Cl", "Cl", "Cl", "Cl", "Cl", "Cl", "Cl", "Cl", "Cl", "Cl", "Cl", "Cl", "Cl", "Cl", "Cl", "Cl"], "frac_coords": [[0.935, 0.241, 0.373], [0.435, 0.259, 0.627], [0.935, 0.759, 0.373], [0.003, 0.000, 0.862], [0.503, 0.500, 0.138], [0.435, 0.741, 0.627], [0.520, 0.000, 0.096], [0.020, 0.500, 0.904], [0.841, 0.500, 0.690], [0.341, 0.000, 0.310], [0.586, 0.500, 0.812], [0.216, 0.688, 0.933], [0.716, 0.188, 0.067], [0.183, 0.000, 0.526], [0.683, 0.500, 0.474], [0.836, 0.746, 0.686], [0.086, 0.000, 0.188], [0.097, 0.500, 0.563], [0.716, 0.812, 0.067], [0.426, 0.000, 0.857], [0.216, 0.312, 0.933], [0.597, 0.000, 0.437], [0.926, 0.500, 0.143], [0.836, 0.254, 0.686], [0.336, 0.754, 0.314], [0.336, 0.246, 0.314]]}

---

{"formula": "IrN5Cl3", "functional": "PBE", "state": "relaxed", "final_energy_ev_per_atom": -4.799, "sg": "Pnma (62)", "e_form_ev_per_atom": 1.23, "lattice_angstrom": [[6.272, 0.000, 0.000], [0.000, 7.381, 0.000], [0.000, 0.000, 17.175]], "species": ["Ir", "Ir", "Ir", "Ir", "N", "N", "N", "N", "N", "N", "N", "N", "N", "N", "N", "N", "N", "N", "N", "N", "N", "N", "N", "N", "Cl", "Cl", "Cl", "Cl", "Cl", "Cl", "Cl", "Cl", "Cl", "Cl", "Cl", "Cl"], "frac_coords": [[0.250, 0.337, 0.647], [0.250, 0.163, 0.147], [0.750, 0.663, 0.353], [0.750, 0.837, 0.853], [0.250, 0.154, 0.711], [0.250, 0.346, 0.211], [0.750, 0.846, 0.289], [0.750, 0.654, 0.789], [0.250, 0.542, 0.699], [0.250, 0.958, 0.199], [0.750, 0.458, 0.301], [0.750, 0.042, 0.801], [0.025, 0.329, 0.576], [0.475, 0.171, 0.076], [0.525, 0.671, 0.424], [0.975, 0.829, 0.924], [0.975, 0.671, 0.424], [0.525, 0.829, 0.924], [0.475, 0.329, 0.576], [0.025, 0.171, 0.076], [0.250, 0.146, 0.426], [0.250, 0.354, 0.926], [0.750, 0.854, 0.574], [0.750, 0.646, 0.074], [0.250, 0.691, 0.436], [0.250, 0.809, 0.936], [0.750, 0.309, 0.564], [0.750, 0.191, 0.064], [0.027, 0.342, 0.871], [0.473, 0.158, 0.371], [0.527, 0.658, 0.129], [0.973, 0.842, 0.629], [0.973, 0.658, 0.129], [0.527, 0.842, 0.629], [0.473, 0.342, 0.871], [0.027, 0.158, 0.371]]}